Record 1
A plane-wave DFT calculation with PBE with a Hubbard U was carried out for crystalline Na5V4P6O24 at its relaxed geometry.

Cell: 8.9838 8.7622 15.2342 Å, 55.75 90.00 90.00°
Positions (direct):
Na  0.9717  0.6479  0.2367
Na  0.0393  0.9476  0.8327
Na  0.5484  0.0380  0.6681
Na  0.4664  0.3648  0.2877
Na  0.8069  0.3853  0.1898
Na  0.0283  0.6479  0.7367
Na  0.9607  0.9476  0.3327
Na  0.4516  0.0380  0.1681
Na  0.5336  0.3648  0.7877
Na  0.1931  0.3853  0.6898
V  0.2769  0.6430  0.1040
V  0.2137  0.1400  0.6011
V  0.7127  0.8577  0.8915
V  0.7753  0.3540  0.4000
V  0.7231  0.6430  0.6040
V  0.7863  0.1400  0.1011
V  0.2873  0.8577  0.3915
V  0.2247  0.3540  0.9000
P  0.4949  0.4671  0.5029
P  0.6343  0.7493  0.1430
P  0.3526  0.0269  0.8516
P  0.8580  0.9692  0.6443
P  0.1360  0.2599  0.3506
P  0.0020  0.5285  0.9991
P  0.5051  0.4671  0.0029
P  0.3657  0.7493  0.6430
P  0.6474  0.0269  0.3516
P  0.1420  0.9692  0.1443
P  0.8640  0.2599  0.8506
P  0.9980  0.5285  0.4991
O  0.0935  0.3495  0.5687
O  0.9079  0.5244  0.4137
O  0.1547  0.8151  0.1246
O  0.8411  0.0907  0.8459
O  0.5921  0.4305  0.4325
O  0.6888  0.8010  0.0347
O  0.4663  0.7066  0.1612
O  0.2535  0.0802  0.7530
O  0.3924  0.2919  0.5687
O  0.5197  0.0234  0.8268
O  0.2909  0.8474  0.9464
O  0.7265  0.5800  0.2310
O  0.2268  0.4298  0.2674
O  0.7942  0.1520  0.5529
O  0.0291  0.9807  0.6643
O  0.9005  0.6977  0.9414
O  0.7710  0.9157  0.7452
O  0.9667  0.3107  0.3364
O  0.1942  0.2030  0.4620
O  0.0980  0.5387  0.0790
O  0.3326  0.9193  0.6493
O  0.6677  0.1917  0.3634
O  0.4169  0.4759  0.0876
O  0.5964  0.6392  0.9284
O  0.9065  0.3495  0.0687
O  0.0921  0.5244  0.9137
O  0.8453  0.8151  0.6246
O  0.1589  0.0907  0.3459
O  0.4079  0.4305  0.9325
O  0.3112  0.8010  0.5347
O  0.5337  0.7066  0.6612
O  0.7465  0.0802  0.2530
O  0.6076  0.2919  0.0687
O  0.4803  0.0234  0.3268
O  0.7091  0.8474  0.4464
O  0.2735  0.5800  0.7310
O  0.7732  0.4298  0.7674
O  0.2058  0.1520  0.0529
O  0.9709  0.9807  0.1643
O  0.0995  0.6977  0.4414
O  0.2290  0.9157  0.2452
O  0.0333  0.3107  0.8364
O  0.8058  0.2030  0.9620
O  0.9020  0.5387  0.5790
O  0.6674  0.9193  0.1493
O  0.3323  0.1917  0.8634
O  0.5831  0.4759  0.5876
O  0.4036  0.6392  0.4284

Output
E_tot ... -7.015 eV/atom
Crystal system ... monoclinic
Magnetization ... 7.0 μB/f.u.
SG ... Pc (7)
DFT formation energy ... -2.633 eV per atom
Energy with MP2020 corrections ... -7.612 eV per atom

Record 2
A plane-wave DFT calculation with PBE with a Hubbard U was carried out for crystalline NaV3P3O13 at its relaxed geometry.

Cell: 6.3873 7.4725 10.6826 Å, 80.69 90.00 90.00°
Positions (direct):
Na  0.7500  0.3430  0.1844
Na  0.2500  0.6570  0.8156
V  0.2500  0.6436  0.1980
V  0.7500  0.3564  0.8020
V  0.2500  0.2254  0.4461
V  0.5000  0.0000  0.0000
V  0.7500  0.7746  0.5539
V  0.0000  0.0000  0.0000
P  0.2500  0.7801  0.4770
P  0.7500  0.2199  0.5230
P  0.2500  0.2557  0.7691
P  0.7500  0.7443  0.2309
P  0.7500  0.6916  0.8785
P  0.2500  0.3084  0.1215
O  0.7500  0.6503  0.7399
O  0.5555  0.2677  0.4385
O  0.2500  0.1938  0.6408
O  0.5497  0.7960  0.9032
O  0.7500  0.3445  0.6269
O  0.7500  0.1379  0.9051
O  0.2500  0.6555  0.3731
O  0.0497  0.2040  0.0968
O  0.2500  0.9798  0.4105
O  0.7500  0.0202  0.5895
O  0.0587  0.3732  0.7933
O  0.2500  0.8621  0.0949
O  0.5587  0.6268  0.2067
O  0.7500  0.4932  0.9509
O  0.7500  0.8062  0.3592
O  0.4503  0.2040  0.0968
O  0.9445  0.2677  0.4385
O  0.4445  0.7323  0.5615
O  0.4413  0.3732  0.7933
O  0.2500  0.3497  0.2601
O  0.7500  0.9161  0.1220
O  0.2500  0.0839  0.8780
O  0.9413  0.6268  0.2067
O  0.9503  0.7960  0.9032
O  0.0555  0.7323  0.5615
O  0.2500  0.5068  0.0491

Output
E_tot ... -7.428 eV/atom
Crystal system ... monoclinic
Magnetization ... 5.0 μB/f.u.
SG ... P2_1/m (11)
DFT formation energy ... -2.673 eV per atom
Energy with MP2020 corrections ... -8.130 eV per atom

Record 3
A plane-wave DFT calculation with PBE with a Hubbard U was carried out for crystalline Na3VP2O9 at its relaxed geometry.

Cell: 6.4701 6.3186 9.7667 Å, 71.37 90.00 90.00°
Positions (direct):
Na  0.4924  0.2234  0.1750
Na  0.9924  0.7766  0.8250
Na  0.5076  0.7766  0.8250
Na  0.0076  0.2234  0.1750
Na  0.7500  0.7315  0.1802
Na  0.2500  0.2685  0.8198
V  0.7500  0.2121  0.5782
V  0.2500  0.7879  0.4218
P  0.7500  0.7565  0.4998
P  0.2500  0.2435  0.5002
P  0.7500  0.2603  0.9030
P  0.2500  0.7397  0.0970
O  0.7500  0.8791  0.6146
O  0.2500  0.1209  0.3854
O  0.4416  0.1853  0.6007
O  0.9416  0.8147  0.3993
O  0.5584  0.8147  0.3993
O  0.0584  0.1853  0.6007
O  0.2500  0.7222  0.6001
O  0.7500  0.2778  0.3999
O  0.2500  0.4962  0.4134
O  0.7500  0.5038  0.5866
O  0.2500  0.8905  0.2051
O  0.7500  0.1095  0.7949
O  0.2500  0.9031  0.9403
O  0.7500  0.0969  0.0597
O  0.4487  0.5991  0.1247
O  0.9487  0.4009  0.8753
O  0.5513  0.4009  0.8753
O  0.0513  0.5991  0.1247

Output
E_tot ... -6.564 eV/atom
Crystal system ... monoclinic
Magnetization ... 0.0 μB/f.u.
SG ... P2_1/m (11)
DFT formation energy ... -2.529 eV per atom
Energy with MP2020 corrections ... -7.089 eV per atom

Record 4
A plane-wave DFT calculation with PBE with a Hubbard U was carried out for crystalline Na2V2P3O12 at its relaxed geometry.

Cell: 9.0551 8.6136 15.0521 Å, 55.23 90.00 90.00°
Positions (direct):
Na  0.8001  0.9688  0.8362
Na  0.7089  0.5998  0.1763
Na  0.2089  0.4002  0.3237
Na  0.3001  0.0312  0.6638
Na  0.6999  0.9688  0.3362
Na  0.7911  0.5998  0.6763
Na  0.2911  0.4002  0.8237
Na  0.1999  0.0312  0.1638
V  0.5340  0.3554  0.3940
V  0.9646  0.1457  0.6082
V  0.0340  0.6446  0.1060
V  0.4646  0.8543  0.8918
V  0.5354  0.1457  0.1082
V  0.9660  0.3554  0.8940
V  0.0354  0.8543  0.3918
V  0.4660  0.6446  0.6060
P  0.2486  0.4689  0.5030
P  0.3887  0.7481  0.1455
P  0.1150  0.0364  0.8521
P  0.8887  0.2519  0.3545
P  0.6150  0.9636  0.6479
P  0.7486  0.5311  0.9970
P  0.2514  0.4689  0.0030
P  0.3850  0.0364  0.3521
P  0.1113  0.7481  0.6455
P  0.8850  0.9636  0.1479
P  0.6113  0.2519  0.8545
P  0.7514  0.5311  0.4970
O  0.6728  0.5167  0.4117
O  0.8572  0.3583  0.5713
O  0.8936  0.8012  0.1323
O  0.5755  0.0789  0.8492
O  0.3529  0.4595  0.4267
O  0.4403  0.8014  0.0340
O  0.2207  0.7139  0.1631
O  0.0161  0.0852  0.7548
O  0.1519  0.2886  0.5613
O  0.0486  0.8543  0.9515
O  0.2781  0.0121  0.8298
O  0.4784  0.5752  0.2332
O  0.9784  0.4248  0.2668
O  0.7781  0.9879  0.6702
O  0.5486  0.1457  0.5485
O  0.6519  0.7114  0.9387
O  0.5161  0.9148  0.7452
O  0.7207  0.2861  0.3369
O  0.9403  0.1986  0.4660
O  0.8529  0.5405  0.0733
O  0.0755  0.9211  0.6508
O  0.3936  0.1988  0.3677
O  0.3572  0.6417  0.9287
O  0.1728  0.4833  0.0883
O  0.8272  0.5167  0.9117
O  0.6428  0.3583  0.0713
O  0.6064  0.8012  0.6323
O  0.9245  0.0789  0.3492
O  0.1471  0.4595  0.9267
O  0.0597  0.8014  0.5340
O  0.2793  0.7139  0.6631
O  0.4839  0.0852  0.2548
O  0.3481  0.2886  0.0613
O  0.4514  0.8543  0.4515
O  0.2219  0.0121  0.3298
O  0.0216  0.5752  0.7332
O  0.5216  0.4248  0.7668
O  0.7219  0.9879  0.1702
O  0.9514  0.1457  0.0485
O  0.8481  0.7114  0.4387
O  0.9839  0.9148  0.2452
O  0.7793  0.2861  0.8369
O  0.5597  0.1986  0.9660
O  0.6471  0.5405  0.5733
O  0.4245  0.9211  0.1508
O  0.1064  0.1988  0.8677
O  0.1428  0.6417  0.4287
O  0.3272  0.4833  0.5883

Output
E_tot ... -7.106 eV/atom
Crystal system ... monoclinic
Magnetization ... 3.0 μB/f.u.
SG ... P2_1/c (14)
DFT formation energy ... -2.643 eV per atom
Energy with MP2020 corrections ... -7.718 eV per atom

Record 5
A plane-wave DFT calculation with PBE with a Hubbard U was carried out for crystalline NaV3P2O13 at its relaxed geometry.

Cell: 8.4685 10.2202 12.0865 Å, 90.00 90.00 90.00°
Positions (direct):
Na  0.3529  0.2851  0.9593
Na  0.8529  0.2851  0.5407
Na  0.6471  0.7851  0.0407
Na  0.1471  0.7851  0.4593
V  0.0011  0.0221  0.6365
V  0.5011  0.0221  0.8635
V  0.8166  0.2494  0.2467
V  0.3166  0.2494  0.2533
V  0.4996  0.4752  0.6338
V  0.9996  0.4752  0.8662
V  0.4989  0.5221  0.1365
V  0.9989  0.5221  0.3635
V  0.1834  0.7494  0.7533
V  0.6834  0.7494  0.7467
V  0.0004  0.9752  0.1338
V  0.5004  0.9752  0.3662
P  0.1193  0.0140  0.8810
P  0.6193  0.0140  0.6190
P  0.1208  0.4877  0.6201
P  0.6208  0.4877  0.8799
P  0.8807  0.5140  0.1190
P  0.3807  0.5140  0.3810
P  0.3792  0.9877  0.1201
P  0.8792  0.9877  0.3799
O  0.9990  0.0580  0.7926
O  0.4990  0.0580  0.7074
O  0.0574  0.0569  0.9952
O  0.5574  0.0569  0.5048
O  0.2821  0.0818  0.8611
O  0.7821  0.0818  0.6389
O  0.3623  0.1045  0.3372
O  0.8623  0.1045  0.1628
O  0.8629  0.1397  0.3790
O  0.3629  0.1397  0.1210
O  0.5947  0.1483  0.9095
O  0.0947  0.1483  0.5905
O  0.1240  0.2496  0.2510
O  0.6240  0.2496  0.2490
O  0.6022  0.3523  0.5899
O  0.1022  0.3523  0.9101
O  0.3610  0.3629  0.3752
O  0.8610  0.3629  0.1248
O  0.3604  0.3920  0.1582
O  0.8604  0.3920  0.3418
O  0.7827  0.4229  0.8561
O  0.2827  0.4229  0.6439
O  0.5563  0.4408  0.9933
O  0.0563  0.4408  0.5067
O  0.4977  0.4408  0.7937
O  0.9977  0.4408  0.7063
O  0.0010  0.5580  0.2074
O  0.5010  0.5580  0.2926
O  0.4426  0.5569  0.4952
O  0.9426  0.5569  0.0048
O  0.2179  0.5818  0.3611
O  0.7179  0.5818  0.1389
O  0.1377  0.6045  0.8372
O  0.6377  0.6045  0.6628
O  0.1371  0.6397  0.6210
O  0.6371  0.6397  0.8790
O  0.4053  0.6483  0.0905
O  0.9053  0.6483  0.4095
O  0.8760  0.7496  0.7490
O  0.3760  0.7496  0.7510
O  0.8978  0.8523  0.0899
O  0.3978  0.8523  0.4101
O  0.1390  0.8629  0.8752
O  0.6390  0.8629  0.6248
O  0.6396  0.8920  0.8418
O  0.1396  0.8920  0.6582
O  0.2173  0.9229  0.1439
O  0.7173  0.9229  0.3561
O  0.4437  0.9408  0.0067
O  0.9437  0.9408  0.4933
O  0.5023  0.9408  0.2063
O  0.0023  0.9408  0.2937

Output
E_tot ... -7.195 eV/atom
Crystal system ... orthorhombic
Magnetization ... 0.0 μB/f.u.
SG ... Pna2_1 (33)
DFT formation energy ... -2.475 eV per atom
Energy with MP2020 corrections ... -7.934 eV per atom

Record 6
A plane-wave DFT calculation with PBE with a Hubbard U was carried out for crystalline NaPW2O8 at its relaxed geometry.

Cell: 5.4677 6.8477 9.1556 Å, 80.81 90.00 90.00°
Positions (direct):
Na  0.2500  0.2750  0.5638
Na  0.7500  0.7250  0.4362
P  0.2500  0.7778  0.6234
P  0.7500  0.2222  0.3766
W  0.7500  0.0504  0.7531
W  0.2500  0.3598  0.9081
W  0.7500  0.6402  0.0919
W  0.2500  0.9496  0.2469
O  0.4852  0.8900  0.6513
O  0.9852  0.1100  0.3487
O  0.2500  0.5657  0.7093
O  0.4919  0.2185  0.8028
O  0.0081  0.2185  0.8028
O  0.7500  0.4343  0.2907
O  0.5148  0.1100  0.3487
O  0.5000  0.5000  0.0000
O  0.2500  0.7541  0.4561
O  0.0148  0.8900  0.6513
O  0.7500  0.8586  0.9192
O  0.9919  0.7815  0.1972
O  0.5081  0.7815  0.1972
O  0.0000  0.5000  0.0000
O  0.7500  0.2459  0.5439
O  0.2500  0.1414  0.0808

Output
E_tot ... -7.150 eV/atom
Crystal system ... monoclinic
Magnetization ... 2.0 μB/f.u.
SG ... P2_1/m (11)
DFT formation energy ... -2.328 eV per atom
Energy with MP2020 corrections ... -8.347 eV per atom

Record 7
A plane-wave DFT calculation with PBE with a Hubbard U was carried out for crystalline NaP4W12O44 at its relaxed geometry.

Cell: 5.4237 6.7214 24.2026 Å, 90.31 90.02 90.07°
Positions (direct):
Na  0.7703  0.3944  0.7240
P  0.2627  0.3839  0.7965
P  0.2369  0.6168  0.2966
P  0.7621  0.1174  0.2039
P  0.7361  0.8857  0.7042
W  0.2491  0.5875  0.6591
W  0.2539  0.4211  0.1617
W  0.7460  0.9215  0.3393
W  0.7545  0.0728  0.8405
W  0.2444  0.9197  0.5309
W  0.2554  0.0849  0.0326
W  0.7464  0.5896  0.4683
W  0.7548  0.4116  0.9696
W  0.2579  0.7394  0.9046
W  0.2429  0.2592  0.4032
W  0.7552  0.7563  0.0976
W  0.7483  0.2498  0.5956
O  0.0416  0.2466  0.8091
O  0.4563  0.7550  0.3087
O  0.5441  0.2558  0.1904
O  0.9443  0.7379  0.6930
O  0.9667  0.2330  0.0026
O  0.5335  0.7673  0.5014
O  0.4643  0.2663  0.9978
O  0.0381  0.7323  0.4964
O  0.4670  0.0951  0.5698
O  0.0336  0.9026  0.0704
O  0.9650  0.4022  0.4283
O  0.5357  0.5971  0.9295
O  0.7442  0.4147  0.5353
O  0.7551  0.5869  0.0367
O  0.2429  0.0890  0.4627
O  0.2574  0.9120  0.9640
O  0.0140  0.3848  0.6327
O  0.4839  0.6038  0.1330
O  0.5166  0.1031  0.3666
O  0.9839  0.8947  0.8679
O  0.7480  0.0756  0.6698
O  0.7573  0.9304  0.1667
O  0.2435  0.4291  0.3323
O  0.2571  0.5703  0.8336
O  0.5162  0.2788  0.8018
O  0.9880  0.7250  0.3024
O  0.0106  0.2269  0.1965
O  0.4860  0.7803  0.7001
O  0.9599  0.0644  0.5632
O  0.5356  0.9309  0.0651
O  0.4662  0.4317  0.4345
O  0.0340  0.5678  0.9356
O  0.2348  0.4445  0.7356
O  0.2595  0.5521  0.2350
O  0.7399  0.0534  0.2643
O  0.7617  0.9515  0.7662
O  0.5267  0.4162  0.6402
O  0.9865  0.5771  0.1384
O  0.0154  0.0756  0.3606
O  0.4826  0.9238  0.8616
O  0.7497  0.2385  0.9008
O  0.7499  0.7620  0.4000
O  0.2514  0.2611  0.0999
O  0.2470  0.7433  0.5985

Output
E_tot ... -7.439 eV/atom
Crystal system ... triclinic
Magnetization ... 5.0 μB/f.u.
SG ... P1 (1)
DFT formation energy ... -2.313 eV per atom
Energy with MP2020 corrections ... -8.807 eV per atom